# 1
A plane-wave DFT calculation with PBE-GGA was carried out for crystalline K57Se34 at its relaxed geometry.

Properties
Calculated formation energy in eV per atom: -1.178
MP2020-corrected energy in eV per atom: -3.18
Space-group type: P1, No. 1

```
91
Lattice="6.186 0.000 0.000 2.864 9.145 0.000 1.500 -0.058 55.583" Properties=species:S:1:pos:R:3 pbc="T T T"
K 0.000 0.000 0.000
K 0.496 0.002 18.087
K 3.945 7.589 47.678
K 2.691 7.334 3.767
K 3.745 7.423 40.836
K 3.254 7.445 22.274
K 3.482 7.574 29.172
K 3.058 7.438 10.805
K 3.066 3.914 3.990
K 4.289 4.010 47.672
K 3.595 3.963 22.246
K 4.091 3.943 40.813
K 3.826 4.096 29.146
K 3.440 4.133 10.262
K 3.723 2.388 33.312
K 4.346 2.745 51.733
K 3.265 2.410 14.671
K 3.220 2.732 0.006
K 3.640 2.362 18.243
K 4.141 2.345 36.845
K 5.570 5.785 44.337
K 5.091 5.807 25.798
K 5.333 5.725 34.909
K 4.866 5.726 16.343
K 3.917 0.015 42.441
K 3.416 0.039 23.855
K 5.795 9.105 5.119
K 4.312 0.020 46.010
K 3.834 -0.002 27.396
K 6.214 8.917 8.955
K 7.019 7.315 49.851
K 5.807 7.565 1.652
K 6.594 7.433 31.558
K 6.826 7.565 38.450
K 6.120 7.496 13.031
K 6.332 7.585 19.877
K 6.938 3.955 31.533
K 7.169 4.083 38.422
K 6.676 4.104 19.853
K 7.446 3.853 50.055
K 6.486 4.018 12.927
K 6.206 4.069 1.557
K 6.054 2.891 5.470
K 7.061 2.373 42.610
K 6.565 2.397 24.032
K 6.553 2.930 8.964
K 7.449 2.295 46.176
K 6.983 2.356 27.571
K 8.729 5.483 53.637
K 8.434 5.796 35.075
K 8.655 5.700 44.195
K 8.176 5.735 25.632
K 7.963 5.798 16.480
K 6.757 0.028 33.134
K 6.293 0.058 14.540
K 7.348 -0.032 51.440
K 7.178 -0.010 36.671
Se 3.951 8.569 44.352
Se 3.485 8.600 25.787
Se 3.936 5.911 50.735
Se 2.168 1.194 39.645
Se 1.671 1.213 21.065
Se 1.384 1.255 2.597
Se 3.644 5.814 32.132
Se 2.828 5.930 0.710
Se 3.209 5.793 13.571
Se 3.936 5.705 37.860
Se 3.444 5.723 19.286
Se 2.939 1.159 48.972
Se 2.543 1.179 30.357
Se 2.093 1.235 11.683
Se 4.086 2.916 44.244
Se 3.599 2.941 25.655
Se 3.067 2.413 7.138
Se 6.826 8.589 35.063
Se 6.350 8.601 16.459
Se 5.011 1.207 30.358
Se 4.566 1.244 11.675
Se 5.850 5.912 4.325
Se 5.605 1.176 48.988
Se 6.987 5.798 41.411
Se 6.488 5.825 22.850
Se 7.216 5.650 47.120
Se 6.778 5.716 28.584
Se 6.333 5.911 10.119
Se 4.701 1.220 2.616
Se 5.886 1.172 39.641
Se 5.389 1.191 21.063
Se 6.942 2.932 34.933
Se 6.475 2.932 16.337
Se 7.512 2.458 53.493
```


# 2
A plane-wave DFT calculation with PBE-GGA was carried out for crystalline Li2CuF5 at its relaxed geometry.

Properties
Calculated formation energy in eV per atom: -2.389
MP2020-corrected energy in eV per atom: -4.57
Space-group type: P2_1/c, No. 14

```
32
Lattice="7.884 0.000 0.000 0.000 7.346 0.000 -0.237 0.000 6.247" Properties=species:S:1:pos:R:3 pbc="T T T"
Li -0.026 0.944 2.005
Li -0.144 2.729 5.128
Li 2.453 1.080 3.491
Li 2.571 2.593 0.368
Li 5.076 4.753 5.879
Li 5.195 6.266 2.756
Li 7.792 4.617 1.118
Li 7.673 6.402 4.242
Cu 2.541 4.465 3.830
Cu 2.659 6.554 0.707
Cu 4.988 0.792 5.540
Cu 5.106 2.881 2.417
F 0.678 0.738 3.890
F 0.797 2.935 0.767
F 0.854 4.845 3.378
F 0.972 6.174 0.255
F 2.114 0.763 1.452
F 1.996 2.910 4.575
F 2.938 5.026 6.156
F 3.057 5.993 3.033
F 3.238 0.466 5.156
F 3.356 3.207 2.033
F 4.291 4.139 4.213
F 4.410 6.880 1.090
F 4.591 1.353 3.214
F 4.709 2.320 0.091
F 5.651 4.436 1.672
F 5.533 6.583 4.795
F 6.675 1.172 5.992
F 6.794 2.501 2.869
F 6.851 4.411 5.480
F 6.969 6.608 2.357
```


# 3
A plane-wave DFT calculation with PBE-GGA was carried out for crystalline BaH2O2 at its relaxed geometry.

Properties
Calculated formation energy in eV per atom: -2.010
MP2020-corrected energy in eV per atom: -5.73
Space-group type: P1, No. 1

```
40
Lattice="6.869 0.000 0.000 -0.151 8.140 0.000 -1.332 -0.069 9.398" Properties=species:S:1:pos:R:3 pbc="T T T"
Ba 0.000 0.000 0.000
Ba -0.467 4.073 2.846
Ba -0.761 3.159 6.783
Ba 3.103 2.279 0.503
Ba 2.704 1.738 4.676
Ba 2.264 5.699 7.571
Ba 3.354 6.511 2.025
Ba 5.801 7.363 5.364
H 0.760 3.759 0.202
H -0.434 5.485 8.891
H 1.145 0.039 2.583
H 1.045 0.901 7.113
H 1.328 4.647 4.968
H 2.474 4.145 2.108
H 2.296 6.559 4.835
H 2.088 -0.051 8.553
H 2.852 2.458 7.274
H 4.000 0.973 2.579
H 3.738 4.346 4.365
H 3.837 0.504 7.294
H 5.431 4.093 0.248
H 4.791 5.413 6.710
H 5.660 7.885 2.627
H 6.182 1.603 3.974
O 0.403 2.834 0.153
O 0.032 1.797 4.621
O 0.650 5.211 5.386
O 1.643 5.460 0.132
O 0.702 0.079 7.518
O 1.891 0.472 2.110
O 2.279 3.927 3.034
O 1.963 2.884 7.231
O 3.053 7.184 4.838
O 2.730 7.957 9.163
O 4.635 4.460 0.696
O 4.897 1.345 2.660
O 4.526 4.172 4.928
O 4.424 1.148 6.849
O 5.010 5.865 7.554
O 6.028 6.957 2.591
```


# 4
A plane-wave DFT calculation with PBE-GGA was carried out for crystalline DyFeSi at its relaxed geometry.

Properties
Calculated formation energy in eV per atom: -0.614
MP2020-corrected energy in eV per atom: -6.78
Space-group type: P4/nmm, No. 129

```
6
Lattice="4.042 0.000 0.000 0.000 4.042 0.000 0.000 0.000 6.478" Properties=species:S:1:pos:R:3 pbc="T T T"
Dy 1.011 1.011 1.198
Dy 3.032 3.032 5.280
Fe 1.011 3.032 3.239
Fe 3.032 1.011 3.239
Si 1.011 1.011 4.398
Si 3.032 3.032 2.080
```


# 5
A plane-wave DFT calculation with PBE-GGA was carried out for crystalline Tb2Th2O5 at its relaxed geometry.

Properties
Calculated formation energy in eV per atom: -3.044
MP2020-corrected energy in eV per atom: -8.47
Space-group type: P4/mmm, No. 123

```
9
Lattice="4.261 0.000 0.000 0.000 4.261 0.000 0.000 0.000 10.665" Properties=species:S:1:pos:R:3 pbc="T T T"
Tb 0.000 0.000 0.000
Tb 0.000 0.000 5.332
Th 2.131 2.131 2.235
Th 2.131 2.131 8.430
O 0.000 2.131 1.570
O 0.000 2.131 9.095
O 2.131 0.000 1.570
O 2.131 0.000 9.095
O 2.131 2.131 0.000
```


# 6
A plane-wave DFT calculation with PBE-GGA was carried out for crystalline Li2GaPt at its relaxed geometry.

Properties
Calculated formation energy in eV per atom: -0.660
Space-group type: F-43m, No. 216

```
4
Lattice="0.000 3.037 3.037 3.037 0.000 3.037 3.037 3.037 0.000" Properties=species:S:1:pos:R:3 pbc="T T T"
Li 0.000 0.000 0.000
Li 1.518 1.518 1.518
Ga 3.037 3.037 3.037
Pt 4.555 4.555 4.555
```


# 7
A plane-wave DFT calculation with PBE-GGA was carried out for crystalline SmSnPt at its relaxed geometry.

Properties
Calculated formation energy in eV per atom: -1.051
Space-group type: Pnma, No. 62

```
12
Lattice="7.385 0.000 0.000 0.000 4.617 0.000 0.000 0.000 8.103" Properties=species:S:1:pos:R:3 pbc="T T T"
Sm 0.083 1.154 1.592
Sm 3.610 3.463 5.644
Sm 3.775 1.154 2.459
Sm 7.302 3.463 6.510
Sn 1.318 1.154 4.732
Sn 2.374 3.463 0.681
Sn 5.011 1.154 7.422
Sn 6.067 3.463 3.371
Pt 1.572 3.463 3.316
Pt 2.120 1.154 7.368
Pt 5.265 3.463 0.735
Pt 5.813 1.154 4.786
```


# 8
A plane-wave DFT calculation with PBE-GGA was carried out for crystalline SmCoSi4 at its relaxed geometry.

Properties
Calculated formation energy in eV per atom: -0.211
MP2020-corrected energy in eV per atom: -5.80
Space-group type: P6/mmm, No. 191

```
6
Lattice="4.232 0.000 0.000 -2.116 3.665 0.000 0.000 0.000 6.355" Properties=species:S:1:pos:R:3 pbc="T T T"
Sm 0.000 0.000 0.000
Co 0.000 0.000 3.178
Si 0.000 2.443 1.981
Si 0.000 2.443 4.374
Si 2.116 1.222 1.981
Si 2.116 1.222 4.374
```


# 9
A plane-wave DFT calculation with PBE-GGA was carried out for crystalline Ca2Ga2BiB4O14 at its relaxed geometry.

Properties
Calculated formation energy in eV per atom: -2.036
MP2020-corrected energy in eV per atom: -6.82
Space-group type: C2, No. 5

```
46
Lattice="6.568 -6.389 0.000 6.568 6.389 0.000 -0.695 0.000 6.806" Properties=species:S:1:pos:R:3 pbc="T T T"
Ca 1.561 0.000 2.738
Ca 1.728 -0.912 6.237
Ca 10.879 0.000 4.067
Ca 10.712 -0.912 0.568
Ga 1.882 2.291 5.026
Ga 6.568 2.455 0.000
Ga 10.558 2.291 1.780
Ga 6.568 -4.039 0.000
Bi 4.929 0.290 4.775
Bi 7.511 0.290 2.031
B 6.061 3.464 4.650
B 6.379 3.464 2.156
B 4.504 0.563 1.416
B 3.494 -3.296 5.538
B 7.936 0.563 5.390
B 4.899 -3.087 3.601
B 7.541 -3.087 3.205
B 8.946 -3.296 1.268
O 2.981 2.829 0.109
O 0.764 0.582 0.128
O 5.654 3.863 1.080
O 6.220 4.038 3.403
O 2.707 0.600 4.768
O 5.017 2.585 4.961
O 6.786 3.863 5.726
O 3.308 -0.066 1.292
O 5.298 0.983 0.339
O 5.123 0.795 2.641
O 7.423 2.585 1.845
O 2.927 -2.274 4.701
O 3.973 -1.885 3.720
O 7.142 0.983 6.466
O 7.317 0.795 4.165
O 9.459 2.829 6.697
O 5.823 -2.320 0.267
O 4.568 -3.894 4.825
O 6.220 -2.674 3.403
O 9.733 0.600 2.037
O 6.617 -2.320 6.538
O 9.132 -0.066 5.514
O 8.467 -1.885 3.085
O 11.675 0.582 6.678
O 7.872 -3.894 1.980
O 9.513 -2.274 2.104
O 5.975 -5.887 2.686
O 6.465 -5.887 4.120
```


# 10
A plane-wave DFT calculation with PBE-GGA was carried out for crystalline NaNbO3 at its relaxed geometry.

Properties
Calculated formation energy in eV per atom: -2.819
MP2020-corrected energy in eV per atom: -8.07
Space-group type: Imma, No. 74

```
10
Lattice="-2.840 3.944 2.813 2.840 -3.944 2.813 2.840 3.944 -2.813" Properties=species:S:1:pos:R:3 pbc="T T T"
Na 0.000 1.972 0.028
Na 2.840 1.972 2.785
Nb 2.840 0.000 0.000
Nb 0.000 0.000 2.813
O 2.840 1.972 -0.362
O 1.420 4.207 -1.407
O 1.420 0.262 1.407
O -1.420 3.682 1.407
O 1.420 3.682 1.407
O 0.000 1.972 3.175
```


# 11
A plane-wave DFT calculation with PBE-GGA was carried out for crystalline NpS2O12 at its relaxed geometry.

Properties
Calculated formation energy in eV per atom: -1.563
MP2020-corrected energy in eV per atom: -6.94
Space-group type: Pnma, No. 62

```
60
Lattice="14.387 0.000 0.000 0.000 11.929 0.000 0.000 0.000 5.683" Properties=species:S:1:pos:R:3 pbc="T T T"
Np 2.298 2.982 0.671
Np 4.895 8.946 3.513
Np 9.491 2.982 2.170
Np 12.089 8.946 5.012
S 2.130 6.702 2.177
S 2.130 11.191 2.177
S 5.064 0.738 5.019
S 5.064 5.227 5.019
S 9.323 6.702 0.664
S 9.323 11.191 0.664
S 12.257 0.738 3.506
S 12.257 5.227 3.506
O 0.808 2.982 1.774
O 1.274 6.906 3.366
O 1.274 10.987 3.366
O 1.293 1.854 5.304
O 1.293 4.110 5.304
O 1.390 7.232 1.015
O 1.390 10.660 1.015
O 2.452 0.695 2.038
O 2.452 5.270 2.038
O 3.434 7.449 2.283
O 3.434 10.444 2.283
O 3.462 8.946 4.558
O 3.731 2.982 1.716
O 3.759 1.485 5.125
O 3.759 4.479 5.125
O 4.742 6.659 4.880
O 4.742 11.234 4.880
O 5.803 1.268 3.857
O 5.803 4.696 3.857
O 5.900 7.818 2.462
O 5.900 10.075 2.462
O 5.920 0.941 0.524
O 5.920 5.023 0.524
O 6.385 8.946 4.616
O 8.002 2.982 1.067
O 8.467 6.906 5.159
O 8.467 10.987 5.159
O 8.486 1.854 3.221
O 8.486 4.110 3.221
O 8.584 7.232 1.827
O 8.584 10.660 1.827
O 9.645 0.695 0.804
O 9.645 5.270 0.804
O 10.627 7.449 0.558
O 10.627 10.444 0.558
O 10.655 8.946 3.967
O 10.924 2.982 1.125
O 10.952 1.485 3.400
O 10.952 4.479 3.400
O 11.935 6.659 3.645
O 11.935 11.234 3.645
O 12.996 1.268 4.668
O 12.996 4.696 4.668
O 13.094 7.818 0.379
O 13.094 10.075 0.379
O 13.113 0.941 2.317
O 13.113 5.023 2.317
O 13.578 8.946 3.909
```


# 12
A plane-wave DFT calculation with PBE-GGA was carried out for crystalline Ca2YSbO5 at its relaxed geometry.

Properties
Calculated formation energy in eV per atom: -2.925
MP2020-corrected energy in eV per atom: -7.30
Space-group type: Cc, No. 9

```
18
Lattice="8.328 -3.166 0.000 8.328 3.166 0.000 -1.865 0.000 5.739" Properties=species:S:1:pos:R:3 pbc="T T T"
Ca 7.395 1.916 2.870
Ca 10.923 1.501 4.292
Ca 8.328 -1.916 0.000
Ca 11.855 -1.501 1.422
Y 4.480 1.241 5.075
Y 5.413 -1.241 2.205
Sb 10.438 1.616 0.502
Sb 9.506 -1.616 3.372
O 6.145 2.447 4.636
O 2.372 0.007 2.739
O 1.439 -0.007 5.609
O 5.871 0.795 1.486
O 8.733 0.767 4.405
O 4.938 -0.795 4.356
O 12.227 0.778 1.081
O 9.666 -0.767 1.535
O 7.077 -2.447 1.767
O 11.295 -0.778 3.951
```